No. 1
Compound: LuMn2Ge2
Source: Materials Project
Functional: meta-GGA r2SCAN
Structure: optimized geometry

Calculated values
symmetry: I4/mmm (139)
E: -19.60 eV per atom
formation energy: -0.559 eV/atom

Cell lengths 4.016, 4.016, 10.851 Å; angles 90.00, 90.00, 90.00 degrees
Sites, in units of the cell vectors:
Lu: 0.000 0.000 0.000
Lu: 0.500 0.500 0.500
Mn: 0.000 0.500 0.250
Mn: 0.000 0.500 0.750
Mn: 0.500 0.000 0.250
Mn: 0.500 0.000 0.750
Ge: 0.000 0.000 0.388
Ge: 0.000 0.000 0.612
Ge: 0.500 0.500 0.112
Ge: 0.500 0.500 0.888

---

No. 2
Compound: LuMn6Ge6
Source: Materials Project
Functional: meta-GGA r2SCAN
Structure: optimized geometry

Calculated values
symmetry: P6/mmm (191)
E: -16.45 eV per atom
formation energy: -0.346 eV/atom

Cell lengths 5.131, 5.131, 8.140 Å; angles 90.00, 90.00, 120.00 degrees
Sites, in units of the cell vectors:
Lu: 0.000 0.000 0.000
Mn: 0.000 0.500 0.251
Mn: 0.000 0.500 0.749
Mn: 0.500 0.000 0.251
Mn: 0.500 0.000 0.749
Mn: 0.500 0.500 0.251
Mn: 0.500 0.500 0.749
Ge: 0.000 0.000 0.342
Ge: 0.000 0.000 0.658
Ge: 0.333 0.667 0.000
Ge: 0.333 0.667 0.500
Ge: 0.667 0.333 0.000
Ge: 0.667 0.333 0.500

---

No. 3
Compound: LuNiGe2
Source: Materials Project
Functional: meta-GGA r2SCAN
Structure: optimized geometry

Calculated values
symmetry: Immm (71)
E: -20.13 eV per atom
formation energy: -0.682 eV/atom

Cell lengths 9.127, 9.127, 9.127 Å; angles 154.12, 125.41, 61.36 degrees
Sites, in units of the cell vectors:
Lu: 0.204 0.204 0.000
Lu: 0.238 0.000 0.238
Lu: 0.762 0.000 0.762
Lu: 0.796 0.796 0.000
Ni: 0.102 0.352 0.750
Ni: 0.397 0.648 0.750
Ni: 0.603 0.352 0.250
Ni: 0.898 0.648 0.250
Ge: 0.077 0.577 0.500
Ge: 0.144 0.803 0.341
Ge: 0.421 0.421 0.000
Ge: 0.461 0.803 0.659
Ge: 0.539 0.197 0.341
Ge: 0.579 0.579 0.000
Ge: 0.856 0.197 0.659
Ge: 0.923 0.423 0.500

---

- What is the formation energy in the second record?
  -0.346 eV/atom

---

Repeat the third record exactly.
Compound: LuNiGe2
Source: Materials Project
Functional: meta-GGA r2SCAN
Structure: optimized geometry

Calculated values
symmetry: Immm (71)
E: -20.13 eV per atom
formation energy: -0.682 eV/atom

Cell lengths 9.127, 9.127, 9.127 Å; angles 154.12, 125.41, 61.36 degrees
Sites, in units of the cell vectors:
Lu: 0.204 0.204 0.000
Lu: 0.238 0.000 0.238
Lu: 0.762 0.000 0.762
Lu: 0.796 0.796 0.000
Ni: 0.102 0.352 0.750
Ni: 0.397 0.648 0.750
Ni: 0.603 0.352 0.250
Ni: 0.898 0.648 0.250
Ge: 0.077 0.577 0.500
Ge: 0.144 0.803 0.341
Ge: 0.421 0.421 0.000
Ge: 0.461 0.803 0.659
Ge: 0.539 0.197 0.341
Ge: 0.579 0.579 0.000
Ge: 0.856 0.197 0.659
Ge: 0.923 0.423 0.500